Computed, not measured: an optimized crystal structure of NaCa3C2O7F3 at the PBE level of DFT.

a b c (Å): 6.7697 6.7697 15.3348
angles (deg): 90.00 90.00 120.00
Atoms (fractional coordinates):
1 O 0.6827 0.3276 0.0938
2 Ca 0.3667 0.3684 0.3374
3 Ca 0.6316 0.9984 0.0041
4 Ca 0.3805 0.3805 0.0000
5 Na 0.7240 0.7240 0.5000
6 Ca 0.3684 0.3667 0.6626
7 O 0.7690 0.0000 0.1667
8 C 0.6764 0.2428 0.5014
9 Na 0.0000 0.2760 0.8333
10 C 0.5664 0.3236 0.8348
11 O 0.6642 0.3294 0.2407
12 F 0.7223 0.7223 0.0000
13 O 0.7172 0.0764 0.5023
14 Ca 0.6195 0.0000 0.6667
15 C 0.7572 0.4336 0.1681
16 Ca 0.0016 0.6333 0.6707
17 O 0.6724 0.3551 0.7605
18 C 0.2428 0.6764 0.4986
19 Ca 0.6333 0.0016 0.3293
20 C 0.4336 0.7572 0.8319
21 O 0.6408 0.9236 0.8311
22 O 0.2310 0.2310 0.5000
23 Ca 0.0000 0.6195 0.3333
24 O 0.6706 0.3348 0.9074
25 O 0.3294 0.6642 0.7593
26 F 0.9957 0.2688 0.6847
27 O 0.6652 0.3358 0.5741
28 F 0.0043 0.2731 0.9820
29 O 0.3348 0.6706 0.0926
30 O 0.0000 0.7690 0.8333
31 F 0.0000 0.2777 0.3333
32 Na 0.2760 0.0000 0.1667
33 O 0.3592 0.2828 0.8356
34 F 0.7269 0.7312 0.6486
35 O 0.9236 0.6408 0.1689
36 F 0.7312 0.7269 0.3514
37 O 0.3173 0.6449 0.5729
38 F 0.2731 0.0043 0.0180
39 F 0.2777 0.0000 0.6667
40 O 0.0764 0.7172 0.4977
41 O 0.3551 0.6724 0.2395
42 O 0.6449 0.3173 0.4271
43 O 0.3276 0.6827 0.9062
44 Ca 0.9984 0.6316 0.9959
45 C 0.3236 0.5664 0.1652
46 F 0.2688 0.9957 0.3153
47 O 0.3358 0.6652 0.4259
48 O 0.2828 0.3592 0.1644

Computed properties:
Total DFT energy (no corrections) ... -6.45 eV/atom
Energy of formation from the pure elements ... -2698 meV/atom

=====

Computed, not measured: an optimized crystal structure of Tm4Mn4Sn7 at the PBE level of DFT.

a b c (Å): 10.9719 10.9719 10.9719
angles (deg): 94.02 94.02 149.27
Atoms (fractional coordinates):
1 Sn 0.7036 0.7036 0.4071
2 Sn 0.2964 0.2964 0.5929
3 Sn 0.5000 0.0971 0.5971
4 Tm 0.6934 0.5000 0.1934
5 Sn 0.7128 0.0000 0.7128
6 Sn 0.0000 0.2872 0.2872
7 Sn 0.7505 0.7505 0.0000
8 Mn 0.1002 0.6002 0.2003
9 Mn 0.6002 0.1002 0.2003
10 Mn 0.6002 0.3998 0.5000
11 Tm 0.1391 0.8609 0.0000
12 Tm 0.5000 0.3066 0.8066
13 Mn 0.8998 0.3998 0.7997
14 Mn 0.8998 0.1002 0.5000
15 Tm 0.8609 0.8609 0.7217
16 Sn 0.5000 0.9029 0.4029
17 Tm 0.1391 0.1391 0.2783
18 Mn 0.3998 0.8998 0.7997
19 Sn 0.2964 0.7036 0.0000
20 Sn 0.0000 0.7128 0.7128
21 Tm 0.3066 0.5000 0.8066
22 Tm 0.5000 0.6934 0.1934
23 Mn 0.3998 0.6002 0.5000
24 Sn 0.2495 0.2495 0.0000
25 Tm 0.8609 0.1391 0.0000
26 Sn 0.7036 0.2964 0.0000
27 Sn 0.0971 0.5000 0.5971
28 Sn 0.2872 0.0000 0.2872
29 Mn 0.1002 0.8998 0.5000
30 Sn 0.9029 0.5000 0.4029

Computed properties:
Total DFT energy (no corrections) ... -5.87 eV/atom
Energy of formation from the pure elements ... -360 meV/atom

=====

Computed, not measured: an optimized crystal structure of BaUSe2O8 at the PBE level of DFT.

a b c (Å): 9.5096 7.8768 13.6287
angles (deg): 68.07 90.00 90.00
Atoms (fractional coordinates):
1 Se 0.3382 0.0207 0.6166
2 U 0.9036 0.7651 0.2880
3 Ba 0.3981 0.6653 0.3071
4 O 0.1571 0.0037 0.6128
5 Se 0.9492 0.7226 0.5372
6 Se 0.4492 0.2774 0.9628
7 O 0.5348 0.4641 0.8635
8 O 0.6805 0.6658 0.6940
9 Se 0.8382 0.9793 0.8834
10 Se 0.5508 0.7226 0.0372
11 O 0.8429 0.9963 0.3872
12 O 0.0500 0.7480 0.4250
13 U 0.0964 0.2349 0.7120
14 O 0.6619 0.8150 0.3253
15 O 0.4566 0.5523 0.5166
16 O 0.9652 0.4641 0.3635
17 O 0.1805 0.3342 0.8060
18 Ba 0.8981 0.3347 0.1929
19 O 0.6571 0.9963 0.8872
20 O 0.9566 0.4477 0.9834
21 U 0.4036 0.2349 0.2120
22 U 0.5964 0.7651 0.7880
23 Ba 0.1019 0.6653 0.8071
24 O 0.1619 0.1850 0.1747
25 O 0.8960 0.0061 0.1822
26 O 0.3381 0.1850 0.6747
27 O 0.1294 0.8057 0.2181
28 O 0.3960 0.9939 0.3178
29 O 0.3706 0.8057 0.7181
30 O 0.9500 0.2520 0.5750
31 O 0.1040 0.9939 0.8178
32 O 0.8381 0.8150 0.8253
33 O 0.6294 0.1943 0.2819
34 O 0.6040 0.0061 0.6822
35 O 0.0348 0.5359 0.6365
36 O 0.8195 0.6658 0.1940
37 Se 0.1618 0.0207 0.1166
38 O 0.3429 0.0037 0.1128
39 O 0.4500 0.7480 0.9250
40 O 0.4652 0.5359 0.1365
41 O 0.3195 0.3342 0.3060
42 Ba 0.6019 0.3347 0.6929
43 O 0.5434 0.4477 0.4834
44 Se 0.6618 0.9793 0.3834
45 O 0.5500 0.2520 0.0750
46 Se 0.0508 0.2774 0.4628
47 O 0.8706 0.1943 0.7819
48 O 0.0434 0.5523 0.0166

Computed properties:
Total DFT energy (no corrections) ... -6.74 eV/atom
Energy of formation from the pure elements ... -1866 meV/atom

=====

Computed, not measured: an optimized crystal structure of Tm5Ga3 at the PBE level of DFT.

a b c (Å): 8.5097 8.5097 6.4066
angles (deg): 90.00 90.00 120.00
Atoms (fractional coordinates):
1 Tm 0.0000 0.2438 0.7500
2 Tm 0.6667 0.3333 0.0000
3 Ga 0.0000 0.6012 0.7500
4 Tm 0.3333 0.6667 0.0000
5 Tm 0.0000 0.7562 0.2500
6 Tm 0.7562 0.7562 0.7500
7 Tm 0.2438 0.2438 0.2500
8 Ga 0.3988 0.0000 0.2500
9 Ga 0.0000 0.3988 0.2500
10 Tm 0.2438 0.0000 0.7500
11 Ga 0.3988 0.3988 0.7500
12 Tm 0.7562 0.0000 0.2500
13 Ga 0.6012 0.6012 0.2500
14 Ga 0.6012 0.0000 0.7500
15 Tm 0.6667 0.3333 0.5000
16 Tm 0.3333 0.6667 0.5000

Computed properties:
Total DFT energy (no corrections) ... -4.41 eV/atom
Energy of formation from the pure elements ... -481 meV/atom

=====

- What is the formula in the third record?
  BaUSe2O8

=====

- The lowest total DFT energy (no corrections) belongs to which entry?
  BaUSe2O8

=====

- Which value of total DFT energy (no corrections) does entry 1 give?
  -6.45 eV/atom